The following is a DFT calculation (PBE+U) of a geometry-optimized Li9Mn2Co5O16 structure.

Results
* M_tot: 14.5 μB/cell
* DFT total energy: -185.08 eV per cell
* energy of formation: -1793 meV/atom
* space group: P1
* volume: 287.2 Å³/cell

Unit cell a=2.981 b=8.090 c=11.936 alpha=90.75 beta=93.69 gamma=90.84
Atoms (fractional coordinates):
1 Li 0.000 0.000 0.000
2 Li 0.001 0.508 0.249
3 Li 0.008 0.510 0.994
4 Li 0.480 0.262 0.126
5 Li 0.492 0.743 0.880
6 Li 0.500 0.754 0.374
7 Li 0.507 0.255 0.620
8 Li 0.987 0.506 0.759
9 Li 0.996 0.006 0.499
10 Mn 0.491 0.261 0.879
11 Mn 0.494 0.753 0.625
12 Co 0.005 0.502 0.499
13 Co 0.494 0.253 0.373
14 Co 0.502 0.745 0.121
15 Co 0.981 0.003 0.753
16 Co 0.991 0.004 0.248
17 O 0.009 0.265 0.494
18 O 0.017 0.253 0.985
19 O 0.029 0.741 0.502
20 O 0.029 0.756 0.011
21 O 0.458 0.014 0.370
22 O 0.460 0.014 0.868
23 O 0.471 0.510 0.617
24 O 0.492 0.530 0.129
25 O 0.503 0.486 0.873
26 O 0.521 0.986 0.132
27 O 0.523 0.998 0.632
28 O 0.536 0.492 0.380
29 O 0.963 0.765 0.748
30 O 0.969 0.243 0.766
31 O 0.971 0.769 0.244
32 O 0.981 0.242 0.251

The following is a DFT calculation (PBE+U) of a geometry-optimized MgCo6O8F4 structure.

Results
* M_tot: 16.0 μB/cell
* DFT total energy: -104.59 eV per cell
* energy of formation: -1593 meV/atom
* space group: P1
* volume: 210.6 Å³/cell

Unit cell a=5.721 b=5.864 c=7.606 alpha=105.26 beta=98.32 gamma=116.20
Atoms (fractional coordinates):
1 Mg 0.000 0.000 0.000
2 Co 0.284 0.573 0.382
3 Co 0.358 0.926 0.788
4 Co 0.619 0.004 0.170
5 Co 0.650 0.436 0.620
6 Co 0.983 0.476 0.984
7 Co 0.983 0.992 0.502
8 O 0.016 0.682 0.819
9 O 0.196 0.806 0.527
10 O 0.281 0.318 0.509
11 O 0.324 0.700 0.171
12 O 0.574 0.839 0.914
13 O 0.624 0.267 0.806
14 O 0.665 0.691 0.502
15 O 0.946 0.301 0.168
16 F 0.062 0.178 0.807
17 F 0.392 0.175 0.115
18 F 0.737 0.179 0.455
19 F 0.892 0.837 0.202

The following is a DFT calculation (PBE+U) of a geometry-optimized Mo2P3O12 structure.

Results
* M_tot: 6.0 μB/cell
* DFT total energy: -248.20 eV per cell
* energy of formation: -2438 meV/atom
* space group: P-1
* volume: 482.7 Å³/cell

Unit cell a=8.561 b=8.586 c=9.023 alpha=61.64 beta=61.85 gamma=60.43
Atoms (fractional coordinates):
1 Mo 0.135 0.140 0.075
2 Mo 0.358 0.354 0.440
3 Mo 0.642 0.646 0.560
4 Mo 0.865 0.860 0.925
5 P 0.040 0.745 0.248
6 P 0.245 0.544 0.744
7 P 0.466 0.029 0.252
8 P 0.534 0.971 0.748
9 P 0.755 0.456 0.256
10 P 0.960 0.255 0.752
11 O 0.029 0.799 0.064
12 O 0.103 0.881 0.251
13 O 0.105 0.741 0.756
14 O 0.160 0.245 0.614
15 O 0.176 0.538 0.300
16 O 0.193 0.387 0.907
17 O 0.254 0.530 0.575
18 O 0.279 0.104 0.220
19 O 0.367 0.993 0.917
20 O 0.443 0.536 0.721
21 O 0.468 0.171 0.311
22 O 0.483 0.835 0.400
23 O 0.517 0.165 0.600
24 O 0.532 0.829 0.689
25 O 0.557 0.464 0.279
26 O 0.633 0.007 0.083
27 O 0.721 0.896 0.780
28 O 0.746 0.470 0.425
29 O 0.807 0.613 0.093
30 O 0.824 0.462 0.700
31 O 0.840 0.755 0.386
32 O 0.895 0.259 0.244
33 O 0.897 0.119 0.749
34 O 0.971 0.201 0.936

The following is a DFT calculation (PBE+U) of a geometry-optimized Li7MgNi7O16 structure.

Results
* M_tot: 5.0 μB/cell
* DFT total energy: -153.37 eV per cell
* energy of formation: -1534 meV/atom
* space group: P-1
* volume: 267.5 Å³/cell

Unit cell a=5.021 b=5.745 c=9.835 alpha=105.89 beta=100.89 gamma=90.08
Atoms (fractional coordinates):
1 Li 0.000 0.000 0.000
2 Li 0.238 0.379 0.248
3 Li 0.248 0.865 0.243
4 Li 0.497 0.748 0.501
5 Li 0.503 0.252 0.499
6 Li 0.752 0.135 0.757
7 Li 0.762 0.621 0.752
8 Mg 0.000 0.000 0.500
9 Ni 0.000 0.500 0.500
10 Ni 0.253 0.372 0.751
11 Ni 0.264 0.867 0.749
12 Ni 0.493 0.249 0.000
13 Ni 0.507 0.751 0.000
14 Ni 0.736 0.133 0.251
15 Ni 0.747 0.628 0.249
16 O 0.080 0.201 0.372
17 O 0.087 0.675 0.373
18 O 0.155 0.151 0.864
19 O 0.166 0.693 0.867
20 O 0.369 0.056 0.635
21 O 0.373 0.580 0.635
22 O 0.401 0.080 0.124
23 O 0.416 0.582 0.125
24 O 0.584 0.418 0.875
25 O 0.599 0.920 0.876
26 O 0.627 0.420 0.365
27 O 0.631 0.944 0.365
28 O 0.834 0.307 0.133
29 O 0.845 0.849 0.136
30 O 0.913 0.325 0.627
31 O 0.920 0.799 0.628

The following is a DFT calculation (PBE+U) of a geometry-optimized Li3V5O10 structure.

Results
* M_tot: 0.0 μB/cell
* DFT total energy: -259.39 eV per cell
* energy of formation: -2469 meV/atom
* space group: P-1
* volume: 382.5 Å³/cell

Unit cell a=5.140 b=7.874 c=10.369 alpha=74.29 beta=76.88 gamma=73.68
Atoms (fractional coordinates):
1 Li 0.002 0.498 0.251
2 Li 0.478 0.607 0.099
3 Li 0.479 0.606 0.600
4 Li 0.521 0.394 0.400
5 Li 0.522 0.393 0.901
6 Li 0.998 0.502 0.749
7 V 0.020 0.688 0.440
8 V 0.020 0.688 0.941
9 V 0.039 0.099 0.346
10 V 0.039 0.099 0.846
11 V 0.500 0.000 0.000
12 V 0.500 0.000 0.500
13 V 0.961 0.901 0.154
14 V 0.961 0.901 0.654
15 V 0.980 0.312 0.059
16 V 0.980 0.312 0.560
17 O 0.192 0.670 0.271
18 O 0.192 0.671 0.771
19 O 0.211 0.481 0.054
20 O 0.211 0.481 0.554
21 O 0.214 0.060 0.660
22 O 0.215 0.060 0.161
23 O 0.225 0.859 0.978
24 O 0.226 0.859 0.478
25 O 0.256 0.231 0.402
26 O 0.258 0.230 0.902
27 O 0.742 0.770 0.098
28 O 0.744 0.769 0.598
29 O 0.774 0.141 0.522
30 O 0.775 0.141 0.022
31 O 0.785 0.940 0.839
32 O 0.786 0.940 0.340
33 O 0.789 0.519 0.446
34 O 0.789 0.519 0.946
35 O 0.808 0.329 0.229
36 O 0.808 0.330 0.729

The following is a DFT calculation (PBE+U) of a geometry-optimized LaCrReO6 structure.

Results
* M_tot: 2.0 μB/cell
* DFT total energy: -74.13 eV per cell
* energy of formation: -2615 meV/atom
* space group: P1
* volume: 116.6 Å³/cell

Unit cell a=5.478 b=5.480 c=5.481 alpha=119.89 beta=119.85 gamma=90.18
Atoms (fractional coordinates):
1 La 0.000 0.000 0.000
2 Cr 0.747 0.250 0.495
3 Re 0.246 0.750 0.496
4 O 0.015 0.533 0.003
5 O 0.027 0.022 0.497
6 O 0.458 0.468 0.476
7 O 0.475 0.973 0.988
8 O 0.545 0.993 0.544
9 O 0.961 0.509 0.462

The following is a DFT calculation (PBE+U) of a geometry-optimized Fe3B7IO13 structure.

Results
* M_tot: 2.7 μB/cell
* DFT total energy: -683.18 eV per cell
* energy of formation: -2020 meV/atom
* space group: Pca2_1
* volume: 950.8 Å³/cell

Unit cell a=8.759 b=8.763 c=12.388 alpha=90.00 beta=90.00 gamma=90.00
Atoms (fractional coordinates):
1 Fe 0.001 0.020 0.000
2 Fe 0.002 0.482 0.997
3 Fe 0.242 0.251 0.732
4 Fe 0.258 0.251 0.232
5 Fe 0.498 0.482 0.497
6 Fe 0.499 0.020 0.500
7 Fe 0.501 0.980 0.000
8 Fe 0.502 0.518 0.997
9 Fe 0.742 0.749 0.732
10 Fe 0.758 0.749 0.232
11 Fe 0.998 0.518 0.497
12 Fe 0.999 0.980 0.500
13 B 0.001 0.504 0.746
14 B 0.001 0.997 0.747
15 B 0.049 0.751 0.845
16 B 0.093 0.750 0.318
17 B 0.243 0.755 0.993
18 B 0.243 0.904 0.167
19 B 0.244 0.600 0.166
20 B 0.256 0.600 0.666
21 B 0.257 0.755 0.493
22 B 0.257 0.904 0.667
23 B 0.407 0.750 0.818
24 B 0.451 0.751 0.345
25 B 0.499 0.504 0.246
26 B 0.499 0.997 0.247
27 B 0.501 0.003 0.747
28 B 0.501 0.496 0.746
29 B 0.549 0.249 0.845
30 B 0.593 0.250 0.318
31 B 0.743 0.096 0.167
32 B 0.743 0.245 0.993
33 B 0.744 0.400 0.166
34 B 0.756 0.400 0.666
35 B 0.757 0.096 0.667
36 B 0.757 0.245 0.493
37 B 0.907 0.250 0.818
38 B 0.951 0.249 0.345
39 B 0.999 0.003 0.247
40 B 0.999 0.496 0.246
41 I 0.245 0.251 0.000
42 I 0.255 0.251 0.500
43 I 0.745 0.749 0.000
44 I 0.755 0.749 0.500
45 O 0.033 0.161 0.770
46 O 0.038 0.332 0.272
47 O 0.039 0.909 0.847
48 O 0.046 0.592 0.338
49 O 0.088 0.540 0.149
50 O 0.095 0.944 0.655
51 O 0.121 0.676 0.929
52 O 0.141 0.822 0.420
53 O 0.161 0.023 0.223
54 O 0.165 0.488 0.725
55 O 0.174 0.875 0.060
56 O 0.184 0.640 0.564
57 O 0.226 0.751 0.234
58 O 0.274 0.751 0.734
59 O 0.316 0.640 0.064
60 O 0.326 0.875 0.560
61 O 0.335 0.488 0.225
62 O 0.339 0.023 0.723
63 O 0.359 0.822 0.920
64 O 0.379 0.676 0.429
65 O 0.405 0.944 0.155
66 O 0.412 0.540 0.649
67 O 0.454 0.592 0.838
68 O 0.461 0.909 0.347
69 O 0.462 0.332 0.772
70 O 0.467 0.161 0.270
71 O 0.533 0.839 0.770
72 O 0.538 0.668 0.272
73 O 0.539 0.091 0.847
74 O 0.546 0.408 0.338
75 O 0.588 0.460 0.149
76 O 0.595 0.056 0.655
77 O 0.621 0.324 0.929
78 O 0.641 0.178 0.420
79 O 0.661 0.977 0.223
80 O 0.665 0.512 0.725
81 O 0.674 0.125 0.060
82 O 0.684 0.360 0.564
83 O 0.726 0.249 0.234
84 O 0.774 0.249 0.734
85 O 0.816 0.360 0.064
86 O 0.826 0.125 0.560
87 O 0.835 0.512 0.225
88 O 0.839 0.977 0.723
89 O 0.859 0.178 0.920
90 O 0.879 0.324 0.429
91 O 0.905 0.056 0.155
92 O 0.912 0.460 0.649
93 O 0.954 0.408 0.838
94 O 0.961 0.091 0.347
95 O 0.962 0.668 0.772
96 O 0.967 0.839 0.270

The following is a DFT calculation (PBE+U) of a geometry-optimized Mg6CrSiO8 structure.

Results
* M_tot: 4.0 μB/cell
* DFT total energy: -97.65 eV per cell
* energy of formation: -2555 meV/atom
* space group: P4/mmm
* volume: 163.8 Å³/cell

Unit cell a=4.373 b=4.373 c=8.568 alpha=90.00 beta=90.00 gamma=90.00
Atoms (fractional coordinates):
1 Mg 0.000 0.000 0.000
2 Mg 0.000 0.000 0.500
3 Mg 0.000 0.500 0.247
4 Mg 0.000 0.500 0.753
5 Mg 0.500 0.000 0.247
6 Mg 0.500 0.000 0.753
7 Cr 0.500 0.500 0.000
8 Si 0.500 0.500 0.500
9 O 0.000 0.000 0.251
10 O 0.000 0.000 0.749
11 O 0.000 0.500 0.000
12 O 0.000 0.500 0.500
13 O 0.500 0.000 0.000
14 O 0.500 0.000 0.500
15 O 0.500 0.500 0.244
16 O 0.500 0.500 0.756

The following is a DFT calculation (PBE+U) of a geometry-optimized MgFe8O8F8 structure.

Results
* M_tot: 38.0 μB/cell
* DFT total energy: -148.84 eV per cell
* energy of formation: -2073 meV/atom
* space group: P1
* volume: 315.6 Å³/cell

Unit cell a=5.115 b=5.242 c=11.824 alpha=90.15 beta=91.59 gamma=95.06
Atoms (fractional coordinates):
1 Mg 0.000 0.000 0.000
2 Fe 0.078 0.358 0.395
3 Fe 0.435 0.884 0.271
4 Fe 0.480 0.873 0.764
5 Fe 0.518 0.982 0.022
6 Fe 0.556 0.997 0.519
7 Fe 0.894 0.512 0.157
8 Fe 0.928 0.502 0.884
9 Fe 0.937 0.520 0.637
10 O 0.172 0.596 0.271
11 O 0.179 0.626 0.762
12 O 0.320 0.102 0.392
13 O 0.679 0.788 0.154
14 O 0.686 0.772 0.637
15 O 0.706 0.818 0.895
16 O 0.802 0.297 0.026
17 O 0.832 0.271 0.515
18 F 0.161 0.681 0.029
19 F 0.202 0.624 0.514
20 F 0.257 0.094 0.145
21 F 0.271 0.111 0.893
22 F 0.328 0.095 0.641
23 F 0.671 0.775 0.394
24 F 0.761 0.277 0.751
25 F 0.780 0.258 0.274

The following is a DFT calculation (PBE+U) of a geometry-optimized RbNaMo3O10 structure.

Results
* M_tot: 0.0 μB/cell
* DFT total energy: -395.84 eV per cell
* energy of formation: -2074 meV/atom
* space group: Pnma
* volume: 957.2 Å³/cell

Unit cell a=7.829 b=7.722 c=15.833 alpha=90.00 beta=90.00 gamma=90.00
Atoms (fractional coordinates):
1 Rb 0.141 0.250 0.146
2 Rb 0.359 0.750 0.646
3 Rb 0.641 0.250 0.354
4 Rb 0.859 0.750 0.854
5 Na 0.062 0.250 0.777
6 Na 0.438 0.750 0.277
7 Na 0.562 0.250 0.723
8 Na 0.938 0.750 0.223
9 Mo 0.110 0.501 0.399
10 Mo 0.110 0.999 0.399
11 Mo 0.238 0.250 0.556
12 Mo 0.262 0.750 0.056
13 Mo 0.390 0.001 0.899
14 Mo 0.390 0.499 0.899
15 Mo 0.610 0.501 0.101
16 Mo 0.610 0.999 0.101
17 Mo 0.738 0.250 0.944
18 Mo 0.762 0.750 0.444
19 Mo 0.890 0.001 0.601
20 Mo 0.890 0.499 0.601
21 O 0.004 0.033 0.302
22 O 0.004 0.467 0.302
23 O 0.059 0.750 0.412
24 O 0.063 0.750 0.009
25 O 0.114 0.250 0.427
26 O 0.156 0.014 0.536
27 O 0.156 0.486 0.536
28 O 0.177 0.029 0.869
29 O 0.177 0.471 0.869
30 O 0.221 0.750 0.166
31 O 0.279 0.250 0.666
32 O 0.323 0.529 0.369
33 O 0.323 0.971 0.369
34 O 0.344 0.514 0.036
35 O 0.344 0.986 0.036
36 O 0.386 0.750 0.927
37 O 0.437 0.250 0.509
38 O 0.441 0.250 0.912
39 O 0.496 0.533 0.802
40 O 0.496 0.967 0.802
41 O 0.504 0.033 0.198
42 O 0.504 0.467 0.198
43 O 0.559 0.750 0.088
44 O 0.563 0.750 0.491
45 O 0.614 0.250 0.073
46 O 0.656 0.014 0.964
47 O 0.656 0.486 0.964
48 O 0.677 0.029 0.631
49 O 0.677 0.471 0.631
50 O 0.721 0.750 0.334
51 O 0.779 0.250 0.834
52 O 0.823 0.529 0.131
53 O 0.823 0.971 0.131
54 O 0.844 0.514 0.464
55 O 0.844 0.986 0.464
56 O 0.886 0.750 0.573
57 O 0.937 0.250 0.991
58 O 0.941 0.250 0.588
59 O 0.996 0.533 0.698
60 O 0.996 0.967 0.698